<i>
Entry from Materials Project: crystalline Ba2MgFeWO6 at its relaxed geometry (PBE with a Hubbard U).

Cell and atoms, written as POSCAR:
```
Ba2MgFeWO6
1.0
-1.481 -2.654 -5.838
5.658 3.019 1.453
0.778 -3.775 4.683
Ba Mg Fe W O
2 1 1 1 6
Direct
0.453 0.769 0.231
0.596 0.206 0.793
0.169 0.411 0.588
0.843 0.579 0.421
0.019 0.988 0.012
0.560 0.752 0.779
0.042 0.746 0.255
0.007 0.223 0.775
0.490 0.215 0.249
0.030 0.222 0.248
0.024 0.750 0.784
```

<ii>
Entry from Materials Project: crystalline Ba2MgFeWO6 at its relaxed geometry (PBE with a Hubbard U).

Cell and atoms, written as POSCAR:
```
Ba2MgFeWO6
1.0
-5.552 -2.499 3.233
4.123 -4.088 -2.228
5.165 3.486 2.891
Ba Mg Fe W O
2 1 1 1 6
Direct
0.366 0.684 0.317
0.543 0.267 0.725
0.807 0.901 0.096
0.015 0.505 0.491
0.147 0.076 0.926
0.459 0.730 0.743
0.986 0.729 0.272
0.974 0.244 0.756
0.483 0.241 0.268
0.986 0.254 0.269
0.973 0.734 0.761
```

<iii>
Entry from Materials Project: crystalline Ba2MgFeWO6 at its relaxed geometry (PBE with a Hubbard U).

Cell and atoms, written as POSCAR:
```
Ba2MgFeWO6
1.0
-1.952 -5.018 -4.124
-0.431 0.341 6.717
-2.928 5.970 1.330
Ba Mg Fe W O
2 1 1 1 6
Direct
0.500 0.815 0.315
0.501 0.186 0.686
0.500 0.500 0.000
0.000 0.499 0.500
0.000 0.000 0.000
0.488 0.734 0.748
0.986 0.734 0.247
0.013 0.266 0.753
0.512 0.266 0.252
0.999 0.190 0.192
0.003 0.811 0.808
```

Computed relative energies in units of eV/atom: <i> 0.000; <ii> 0.207; <iii> 0.053

<i>
Entry from Materials Project: crystalline BaNb4Fe2O14 at its relaxed geometry (PBE with a Hubbard U).

Cell and atoms, written as POSCAR:
```
BaNb4Fe2O14
1.0
-6.925 -2.111 3.878
2.093 -7.941 -0.108
4.190 -0.436 10.117
Ba Nb Fe O
2 8 4 28
Direct
0.500 0.000 0.500
0.000 0.500 0.000
0.127 0.753 0.555
0.247 0.873 0.945
0.873 0.247 0.445
0.753 0.127 0.055
0.755 0.669 0.710
0.331 0.245 0.790
0.245 0.331 0.290
0.669 0.755 0.210
0.951 0.049 0.750
0.049 0.951 0.250
0.500 0.500 0.500
0.500 0.500 0.000
0.144 0.953 0.618
0.047 0.856 0.882
0.856 0.047 0.382
0.953 0.144 0.118
0.326 0.650 0.568
0.350 0.674 0.932
0.674 0.350 0.432
0.650 0.326 0.068
0.104 0.791 0.389
0.209 0.896 0.111
0.896 0.209 0.611
0.791 0.104 0.889
0.977 0.600 0.662
0.400 0.023 0.838
0.023 0.400 0.338
0.600 0.977 0.162
0.777 0.895 0.709
0.105 0.223 0.791
0.223 0.105 0.291
0.895 0.777 0.209
0.637 0.643 0.583
0.357 0.363 0.917
0.363 0.357 0.417
0.643 0.637 0.083
0.684 0.544 0.860
0.456 0.316 0.640
0.316 0.456 0.140
0.544 0.684 0.360
```

<ii>
Entry from Materials Project: crystalline BaNb4Fe2O14 at its relaxed geometry (PBE with a Hubbard U).

Cell and atoms, written as POSCAR:
```
BaNb4Fe2O14
1.0
6.929 -0.529 5.402
5.932 0.293 -8.185
-1.905 8.602 -2.319
Ba Nb Fe O
2 8 4 28
Direct
0.000 0.000 0.000
0.500 0.500 0.000
0.604 0.101 0.645
0.104 0.601 0.645
0.396 0.899 0.355
0.896 0.399 0.355
0.683 0.851 0.199
0.183 0.351 0.199
0.317 0.149 0.801
0.817 0.649 0.801
0.029 0.669 0.217
0.971 0.331 0.783
0.529 0.169 0.217
0.471 0.831 0.783
0.600 0.073 0.441
0.100 0.573 0.441
0.400 0.927 0.559
0.900 0.427 0.559
0.783 0.206 0.736
0.283 0.706 0.736
0.217 0.794 0.264
0.717 0.294 0.264
0.673 0.955 0.804
0.173 0.455 0.804
0.327 0.045 0.196
0.827 0.545 0.196
0.419 0.201 0.647
0.919 0.701 0.647
0.581 0.799 0.353
0.081 0.299 0.353
0.406 0.320 0.251
0.906 0.820 0.251
0.594 0.680 0.749
0.094 0.180 0.749
0.438 0.234 0.982
0.938 0.734 0.982
0.562 0.766 0.018
0.062 0.266 0.018
0.655 0.031 0.159
0.155 0.531 0.159
0.345 0.969 0.841
0.845 0.469 0.841
```

Computed relative energies in units of eV/atom: <i> 0.070; <ii> 0.000

<i>
Entry from Materials Project: crystalline BaNb2Fe2P6O24 at its relaxed geometry (PBE with a Hubbard U).

Cell and atoms, written as POSCAR:
```
BaNb2Fe2P6O24
1.0
-2.850 8.399 2.798
-7.944 4.046 -2.650
-7.279 1.528 5.584
Ba Nb Fe P O
1 2 2 6 24
Direct
0.496 0.496 0.496
0.649 0.649 0.649
0.146 0.146 0.146
0.347 0.347 0.347
0.853 0.853 0.853
0.971 0.538 0.243
0.243 0.971 0.538
0.538 0.243 0.971
0.745 0.038 0.471
0.471 0.745 0.038
0.038 0.471 0.745
0.140 0.512 0.256
0.256 0.140 0.512
0.512 0.256 0.140
0.749 0.017 0.643
0.643 0.749 0.017
0.017 0.643 0.749
0.860 0.494 0.740
0.740 0.860 0.494
0.494 0.740 0.860
0.247 0.988 0.356
0.356 0.247 0.988
0.988 0.356 0.247
0.210 0.425 0.576
0.576 0.210 0.425
0.425 0.576 0.210
0.075 0.927 0.704
0.704 0.075 0.927
0.927 0.704 0.075
0.795 0.565 0.429
0.429 0.795 0.565
0.565 0.429 0.795
0.930 0.064 0.301
0.301 0.930 0.064
0.064 0.301 0.930
```

<ii>
Entry from Materials Project: crystalline BaNb2Fe2P6O24 at its relaxed geometry (PBE with a Hubbard U).

Cell and atoms, written as POSCAR:
```
BaNb2Fe2P6O24
1.0
8.647 0.000 0.000
0.000 9.283 0.000
0.000 1.146 12.638
Ba Nb Fe P O
2 4 4 12 48
Direct
0.000 0.000 0.500
0.500 0.500 0.500
0.499 0.210 0.853
0.999 0.290 0.147
0.501 0.790 0.147
0.001 0.710 0.853
0.502 0.805 0.650
0.002 0.695 0.350
0.498 0.195 0.350
0.998 0.305 0.650
0.355 0.858 0.394
0.283 0.503 0.747
0.145 0.358 0.394
0.861 0.359 0.889
0.361 0.141 0.111
0.783 0.997 0.253
0.217 0.003 0.747
0.639 0.859 0.889
0.139 0.641 0.111
0.855 0.642 0.606
0.717 0.497 0.253
0.645 0.142 0.606
0.312 0.919 0.671
0.182 0.822 0.390
0.432 0.787 0.495
0.440 0.792 0.299
0.391 0.606 0.682
0.132 0.524 0.384
0.188 0.419 0.671
0.382 0.389 0.818
0.125 0.474 0.118
0.818 0.417 0.176
0.318 0.322 0.390
0.068 0.287 0.495
0.060 0.292 0.299
0.686 0.320 0.888
0.927 0.300 0.999
0.947 0.290 0.803
0.447 0.210 0.197
0.427 0.200 0.001
0.186 0.180 0.112
0.882 0.111 0.182
0.368 0.024 0.384
0.109 0.106 0.682
0.318 0.083 0.824
0.625 0.026 0.882
0.375 0.974 0.118
0.682 0.917 0.176
0.891 0.894 0.318
0.632 0.976 0.616
0.118 0.889 0.818
0.814 0.820 0.888
0.573 0.800 0.999
0.553 0.790 0.803
0.053 0.710 0.197
0.073 0.700 0.001
0.314 0.680 0.112
0.940 0.708 0.701
0.932 0.713 0.505
0.682 0.678 0.610
0.182 0.583 0.824
0.875 0.526 0.882
0.618 0.611 0.182
0.812 0.581 0.329
0.868 0.476 0.616
0.609 0.394 0.318
0.560 0.208 0.701
0.568 0.213 0.505
0.818 0.178 0.610
0.688 0.081 0.329
```

Computed relative energies in units of eV/atom: <i> 0.018; <ii> 0.000

<i>
Entry from Materials Project: crystalline BaFe2O4 at its relaxed geometry (PBE with a Hubbard U).

Cell and atoms, written as POSCAR:
```
BaFe2O4
1.0
2.752 -4.767 0.000
2.752 4.767 0.000
0.000 0.000 9.245
Ba Fe O
2 4 8
Direct
0.000 0.000 0.750
0.000 0.000 0.250
0.333 0.667 0.452
0.667 0.333 0.952
0.667 0.333 0.548
0.333 0.667 0.048
0.672 0.000 0.500
0.672 0.672 0.000
0.000 0.328 0.000
0.000 0.672 0.500
0.328 0.328 0.500
0.328 0.000 0.000
0.333 0.667 0.250
0.667 0.333 0.750
```

<ii>
Entry from Materials Project: crystalline BaFe2O4 at its relaxed geometry (PBE with a Hubbard U).

Cell and atoms, written as POSCAR:
```
BaFe2O4
1.0
-8.487 -2.694 3.542
-3.421 -2.618 -10.190
6.113 -16.415 2.164
Ba Fe O
16 32 64
Direct
0.722 0.144 0.250
0.222 0.356 0.750
0.280 0.382 0.988
0.220 0.882 0.988
0.761 0.616 0.750
0.780 0.118 0.012
0.778 0.644 0.250
0.220 0.882 0.512
0.280 0.382 0.512
0.720 0.618 0.488
0.739 0.116 0.750
0.278 0.856 0.750
0.261 0.884 0.250
0.720 0.618 0.012
0.239 0.384 0.250
0.780 0.118 0.488
0.089 0.633 0.406
0.909 0.391 0.386
0.089 0.633 0.094
0.409 0.109 0.886
0.090 0.137 0.148
0.909 0.391 0.114
0.591 0.891 0.386
0.411 0.133 0.094
0.410 0.637 0.352
0.591 0.891 0.114
0.409 0.109 0.614
0.569 0.382 0.352
0.590 0.363 0.648
0.910 0.863 0.852
0.410 0.637 0.148
0.431 0.618 0.648
0.411 0.133 0.406
0.069 0.118 0.852
0.569 0.382 0.148
0.589 0.867 0.906
0.091 0.609 0.886
0.911 0.367 0.594
0.090 0.137 0.352
0.931 0.882 0.148
0.911 0.367 0.906
0.091 0.609 0.614
0.589 0.867 0.594
0.069 0.118 0.648
0.931 0.882 0.352
0.431 0.618 0.852
0.590 0.363 0.852
0.910 0.863 0.648
0.126 0.597 0.509
0.935 0.515 0.647
0.374 0.097 0.509
0.065 0.485 0.147
0.565 0.015 0.853
0.750 0.770 0.882
0.560 0.514 0.902
0.021 0.162 0.750
0.374 0.097 0.991
0.579 0.227 0.399
0.250 0.230 0.382
0.127 0.102 0.250
0.435 0.985 0.147
0.419 0.275 0.641
0.750 0.270 0.618
0.750 0.270 0.882
0.419 0.275 0.859
0.919 0.225 0.359
0.521 0.338 0.250
0.581 0.725 0.359
0.742 0.465 0.349
0.250 0.230 0.118
0.758 0.965 0.349
0.435 0.985 0.353
0.626 0.903 0.491
0.560 0.514 0.598
0.750 0.770 0.618
0.565 0.015 0.647
0.065 0.485 0.353
0.935 0.515 0.853
0.874 0.403 0.009
0.060 0.986 0.402
0.940 0.014 0.598
0.250 0.730 0.118
0.421 0.773 0.601
0.919 0.225 0.141
0.258 0.535 0.849
0.940 0.014 0.902
0.079 0.273 0.601
0.242 0.035 0.849
0.479 0.662 0.750
0.921 0.727 0.101
0.081 0.775 0.859
0.579 0.227 0.101
0.081 0.775 0.641
0.581 0.725 0.141
0.373 0.602 0.250
0.626 0.903 0.009
0.921 0.727 0.399
0.242 0.035 0.651
0.440 0.486 0.402
0.079 0.273 0.899
0.250 0.730 0.382
0.258 0.535 0.651
0.979 0.838 0.250
0.874 0.403 0.491
0.421 0.773 0.899
0.126 0.597 0.991
0.060 0.986 0.098
0.758 0.965 0.151
0.440 0.486 0.098
0.873 0.898 0.750
0.627 0.398 0.750
0.742 0.465 0.151
```

Computed relative energies in units of eV/atom: <i> 0.000; <ii> 0.693